[1]
NaLi2NbF6 | PBE | optimized geometry

Cell: 6.025 6.025 6.025 Å, 60.00 60.00 60.00°
Fractional coordinates of all 10 atoms:
F (0.244, 0.756, 0.756)
F (0.244, 0.244, 0.756)
F (0.244, 0.756, 0.244)
Na (0.500, 0.500, 0.500)
F (0.756, 0.244, 0.756)
F (0.756, 0.244, 0.244)
Li (0.750, 0.750, 0.750)
F (0.756, 0.756, 0.244)
Li (0.250, 0.250, 0.250)
Nb (0.000, 0.000, 0.000)

Calculated values
For the calculated total energy, the calculation gives -5.10 eV per atom. As for the volume: 154.7 Å³/cell. The total magnetization comes out at 1.974 μB/f.u. As for the space group: No. 225. For the calculated density, the calculation gives 2.6 g/cm3.



[2]
Tm4MgCo | PBE | optimized geometry

Cell: 9.439 9.439 9.439 Å, 60.00 60.00 60.00°
Fractional coordinates of all 24 atoms:
Tm (0.186, 0.814, 0.186)
Tm (0.938, 0.562, 0.938)
Tm (0.562, 0.562, 0.938)
Tm (0.186, 0.814, 0.814)
Tm (0.344, 0.344, 0.344)
Tm (0.814, 0.186, 0.186)
Tm (0.814, 0.814, 0.186)
Tm (0.938, 0.562, 0.562)
Tm (0.186, 0.186, 0.814)
Mg (0.262, 0.579, 0.579)
Mg (0.579, 0.579, 0.262)
Co (0.141, 0.141, 0.141)
Co (0.141, 0.141, 0.577)
Tm (0.344, 0.344, 0.967)
Tm (0.562, 0.938, 0.562)
Tm (0.562, 0.938, 0.938)
Tm (0.967, 0.344, 0.344)
Mg (0.579, 0.579, 0.579)
Tm (0.938, 0.938, 0.562)
Co (0.577, 0.141, 0.141)
Tm (0.344, 0.967, 0.344)
Co (0.141, 0.577, 0.141)
Tm (0.814, 0.186, 0.814)
Mg (0.579, 0.262, 0.579)

Calculated values
For the calculated total energy, the calculation gives -4.60 eV per atom. As for the volume: 594.6 Å³/cell. As for the space group: No. 216. For the calculated density, the calculation gives 8.5 g/cm3.



[3]
Ta3Ga2 | PBE | optimized geometry

Cell: 6.910 6.910 3.517 Å, 90.00 90.00 90.00°
Fractional coordinates of all 10 atoms:
Ga (0.126, 0.626, 0.000)
Ga (0.374, 0.126, 0.000)
Ga (0.874, 0.374, 0.000)
Ta (0.825, 0.675, 0.500)
Ta (0.325, 0.825, 0.500)
Ga (0.626, 0.874, 0.000)
Ta (0.675, 0.175, 0.500)
Ta (0.175, 0.325, 0.500)
Ta (0.500, 0.500, 0.000)
Ta (0.000, 0.000, 0.000)

Calculated values
For the calculated total energy, the calculation gives -8.60 eV per atom. As for the volume: 167.9 Å³/cell. As for the space group: No. 127. For the calculated density, the calculation gives 13.5 g/cm3.



[4]
ErH | PBE | optimized geometry

Cell: 3.607 3.607 5.354 Å, 90.00 90.00 120.00°
Fractional coordinates of all 4 atoms:
H (0.000, 0.000, 0.500)
Er (0.333, 0.667, 0.250)
H (0.000, 0.000, 0.000)
Er (0.667, 0.333, 0.750)

Calculated values
For the calculated total energy, the calculation gives -4.33 eV per atom. As for the volume: 60.3 Å³/cell. The total magnetization comes out at 0.000 μB/f.u. As for the space group: No. 194. For the calculated density, the calculation gives 9.3 g/cm3.



[5]
CaMg6CuO8 | PBE | optimized geometry

Cell: 8.659 4.359 4.359 Å, 90.00 90.00 90.00°
Fractional coordinates of all 16 atoms:
Ca (0.000, 0.000, 0.000)
Mg (0.745, 0.000, 0.500)
Mg (0.745, 0.500, 0.000)
O (0.747, 0.500, 0.500)
O (0.500, 0.500, 0.000)
Mg (0.500, 0.000, 0.000)
O (0.500, 0.000, 0.500)
O (0.000, 0.500, 0.000)
O (0.253, 0.500, 0.500)
Cu (0.000, 0.500, 0.500)
O (0.736, 0.000, 0.000)
O (0.264, 0.000, 0.000)
O (0.000, 0.000, 0.500)
Mg (0.255, 0.500, 0.000)
Mg (0.500, 0.500, 0.500)
Mg (0.255, 0.000, 0.500)

Calculated values
For the calculated total energy, the calculation gives -5.85 eV per atom. As for the volume: 164.5 Å³/cell. The total magnetization comes out at 0.256 μB/f.u. As for the space group: No. 123. For the calculated density, the calculation gives 3.8 g/cm3.



[6]
HgSNClO3 | PBE | optimized geometry

Cell: 5.454 7.167 15.468 Å, 90.00 90.00 90.00°
Fractional coordinates of all 28 atoms:
O (0.022, 0.928, 0.602)
Cl (0.250, 0.922, 0.918)
S (0.750, 0.527, 0.879)
O (0.750, 0.844, 0.307)
O (0.978, 0.072, 0.398)
Hg (0.750, 0.708, 0.495)
N (0.250, 0.593, 0.727)
Cl (0.750, 0.422, 0.582)
N (0.750, 0.093, 0.773)
O (0.022, 0.572, 0.102)
O (0.522, 0.428, 0.898)
S (0.250, 0.027, 0.621)
O (0.978, 0.428, 0.898)
N (0.750, 0.407, 0.273)
Hg (0.250, 0.208, 0.005)
Cl (0.250, 0.578, 0.418)
N (0.250, 0.907, 0.227)
Hg (0.750, 0.792, 0.995)
Cl (0.750, 0.078, 0.082)
Hg (0.250, 0.292, 0.505)
S (0.250, 0.473, 0.121)
O (0.478, 0.928, 0.602)
O (0.750, 0.656, 0.807)
O (0.250, 0.156, 0.693)
O (0.522, 0.072, 0.398)
O (0.250, 0.344, 0.193)
S (0.750, 0.973, 0.379)
O (0.478, 0.572, 0.102)

Calculated values
For the calculated total energy, the calculation gives -4.07 eV per atom. As for the volume: 604.7 Å³/cell. The total magnetization comes out at 3.374 μB/f.u. As for the space group: No. 62. For the calculated density, the calculation gives 3.6 g/cm3.



[7]
TbMgO3 | PBE | optimized geometry

Cell: 3.856 3.856 3.856 Å, 90.00 90.00 90.00°
Fractional coordinates of all 5 atoms:
O (0.500, 0.500, 0.000)
O (0.500, 0.000, 0.500)
O (0.000, 0.500, 0.500)
Mg (0.500, 0.500, 0.500)
Tb (0.000, 0.000, 0.000)

Calculated values
For the calculated total energy, the calculation gives -6.57 eV per atom. As for the volume: 57.4 Å³/cell. The total magnetization comes out at 1.001 μB/f.u. As for the space group: No. 221. For the calculated density, the calculation gives 6.7 g/cm3.



[8]
Ca2BiSbO6 | PBE | optimized geometry

Cell: 6.003 6.003 6.003 Å, 60.00 60.00 60.00°
Fractional coordinates of all 10 atoms:
O (0.734, 0.266, 0.734)
O (0.266, 0.266, 0.734)
O (0.734, 0.734, 0.266)
Ca (0.250, 0.250, 0.250)
Bi (0.000, 0.000, 0.000)
Sb (0.500, 0.500, 0.500)
O (0.734, 0.266, 0.266)
O (0.266, 0.734, 0.734)
Ca (0.750, 0.750, 0.750)
O (0.266, 0.734, 0.266)

Calculated values
For the calculated total energy, the calculation gives -5.99 eV per atom. As for the volume: 153.0 Å³/cell. The total magnetization comes out at 0.000 μB/f.u. As for the space group: No. 225. For the calculated density, the calculation gives 5.5 g/cm3.



[9]
BaEu3 | PBE | optimized geometry

Cell: 8.249 8.249 6.658 Å, 90.00 90.00 120.00°
Fractional coordinates of all 8 atoms:
Eu (0.836, 0.164, 0.750)
Eu (0.164, 0.329, 0.250)
Eu (0.329, 0.164, 0.750)
Ba (0.333, 0.667, 0.750)
Eu (0.164, 0.836, 0.250)
Eu (0.671, 0.836, 0.250)
Eu (0.836, 0.671, 0.750)
Ba (0.667, 0.333, 0.250)

Calculated values
For the calculated total energy, the calculation gives -8.13 eV per atom. As for the volume: 392.4 Å³/cell. The total magnetization comes out at 22.989 μB/f.u. As for the space group: No. 194. For the calculated density, the calculation gives 5.0 g/cm3.



[10]
V3NiP2 | PBE | optimized geometry

Cell: 3.325 6.141 10.683 Å, 89.71 90.00 90.00°
Fractional coordinates of all 18 atoms:
P (0.000, 0.993, 0.663)
V (0.000, 0.375, 0.622)
Ni (0.000, 0.366, 0.373)
V (0.500, 0.602, 0.003)
Ni (0.000, 0.760, 0.502)
V (0.500, 0.105, 0.502)
Ni (0.000, 0.257, 0.001)
V (0.500, 0.197, 0.787)
V (0.500, 0.193, 0.208)
V (0.000, 0.873, 0.129)
P (0.000, 0.492, 0.838)
V (0.500, 0.695, 0.707)
P (0.000, 0.998, 0.340)
P (0.000, 0.490, 0.170)
P (0.500, 0.512, 0.488)
P (0.500, 0.017, 0.001)
V (0.000, 0.871, 0.873)
V (0.500, 0.705, 0.293)

Calculated values
For the calculated total energy, the calculation gives -8.08 eV per atom. As for the volume: 218.1 Å³/cell. The total magnetization comes out at 0.004 μB/f.u. As for the space group: No. 6. For the calculated density, the calculation gives 6.2 g/cm3.



[11]
GaSi2AsH24C8 | PBE | optimized geometry

Cell: 9.388 9.788 10.026 Å, 77.58 81.03 64.74°
Fractional coordinates of all 72 atoms:
C (0.236, 0.008, 0.231)
H (0.046, 0.530, 0.881)
H (0.954, 0.470, 0.119)
C (0.764, 0.992, 0.769)
H (0.193, 0.178, 0.896)
H (0.493, 0.227, 0.034)
H (0.062, 0.699, 0.424)
H (0.099, 0.558, 0.703)
H (0.221, 0.380, 0.323)
H (0.755, 0.741, 0.516)
H (0.737, 0.966, 0.677)
H (0.840, 0.538, 0.524)
H (0.409, 0.429, 0.026)
H (0.159, 0.639, 0.815)
H (0.760, 0.187, 0.348)
C (0.712, 0.812, 0.180)
H (0.737, 0.218, 0.984)
As (0.475, 0.620, 0.339)
Si (0.326, 0.358, 0.834)
H (0.093, 0.832, 0.500)
H (0.060, 0.867, 0.075)
H (0.750, 0.802, 0.282)
H (0.940, 0.133, 0.925)
As (0.525, 0.380, 0.661)
C (0.750, 0.633, 0.572)
H (0.245, 0.259, 0.484)
Ga (0.532, 0.645, 0.573)
H (0.352, 0.925, 0.597)
H (0.955, 0.899, 0.372)
C (0.355, 0.815, 0.654)
C (0.386, 0.332, 0.011)
Si (0.772, 0.185, 0.736)
H (0.045, 0.101, 0.628)
Si (0.674, 0.642, 0.166)
H (0.879, 0.902, 0.800)
H (0.625, 0.192, 0.239)
H (0.507, 0.773, 0.966)
H (0.170, 0.667, 0.120)
H (0.675, 0.983, 0.852)
C (0.614, 0.668, 0.989)
C (0.823, 0.222, 0.896)
H (0.160, 0.462, 0.476)
H (0.263, 0.782, 0.016)
H (0.291, 0.324, 0.088)
C (0.288, 0.188, 0.820)
C (0.250, 0.367, 0.428)
H (0.648, 0.075, 0.403)
H (0.841, 0.361, 0.185)
C (0.071, 0.810, 0.404)
H (0.709, 0.676, 0.912)
H (0.393, 0.080, 0.837)
C (0.860, 0.462, 0.196)
H (0.591, 0.571, 0.974)
C (0.929, 0.190, 0.596)
H (0.240, 0.813, 0.652)
H (0.907, 0.168, 0.500)
H (0.779, 0.620, 0.677)
Si (0.228, 0.815, 0.264)
H (0.121, 0.098, 0.200)
Ga (0.468, 0.355, 0.427)
C (0.177, 0.778, 0.104)
H (0.250, 0.198, 0.718)
H (0.807, 0.822, 0.104)
H (0.263, 0.034, 0.323)
H (0.375, 0.808, 0.761)
C (0.140, 0.538, 0.804)
H (0.607, 0.920, 0.163)
C (0.645, 0.185, 0.346)
H (0.325, 0.017, 0.148)
H (0.830, 0.333, 0.880)
H (0.901, 0.442, 0.297)
H (0.938, 0.301, 0.576)

Calculated values
For the calculated total energy, the calculation gives -5.02 eV per atom. As for the volume: 811.6 Å³/cell. The total magnetization comes out at 0.002 μB/f.u. As for the space group: No. 2. For the calculated density, the calculation gives 1.3 g/cm3.



[12]
DyScGe | PBE | optimized geometry

Cell: 6.184 8.711 9.191 Å, 58.15 90.00 89.99°
Fractional coordinates of all 18 atoms:
Ge (0.250, 0.000, 0.404)
Sc (0.999, 0.691, 0.657)
Sc (0.750, 0.629, 0.365)
Dy (0.250, 0.258, 0.003)
Sc (0.501, 0.310, 0.347)
Sc (0.999, 0.310, 0.347)
Dy (0.750, 0.000, 0.302)
Dy (0.250, 0.742, 0.260)
Sc (0.750, 0.371, 0.994)
Dy (0.750, 0.733, 0.976)
Ge (0.250, 0.401, 0.586)
Ge (0.543, 0.000, 0.021)
Sc (0.501, 0.691, 0.657)
Dy (0.750, 0.267, 0.709)
Dy (0.250, 0.000, 0.750)
Ge (0.250, 0.599, 0.987)
Ge (0.750, 0.000, 0.615)
Ge (0.957, 0.000, 0.021)

Calculated values
For the calculated total energy, the calculation gives -5.70 eV per atom. As for the volume: 420.6 Å³/cell. The total magnetization comes out at 0.167 μB/f.u. As for the space group: No. 38. For the calculated density, the calculation gives 6.6 g/cm3.



[13]
KGdP2H4O9 | PBE | optimized geometry

Cell: 10.698 7.905 10.206 Å, 86.51 90.00 90.00°
Fractional coordinates of all 68 atoms:
P (0.152, 0.034, 0.378)
O (0.493, 0.508, 0.216)
O (0.079, 0.874, 0.353)
H (0.189, 0.535, 0.962)
O (0.217, 0.415, 0.235)
O (0.993, 0.492, 0.284)
H (0.407, 0.152, 0.464)
O (0.647, 0.580, 0.027)
Gd (0.887, 0.748, 0.326)
Gd (0.113, 0.252, 0.674)
H (0.093, 0.152, 0.964)
H (0.425, 0.570, 0.369)
H (0.483, 0.710, 0.537)
P (0.848, 0.966, 0.622)
P (0.892, 0.609, 0.668)
P (0.392, 0.391, 0.832)
K (0.219, 0.754, 0.667)
O (0.041, 0.226, 0.907)
O (0.147, 0.420, 0.473)
O (0.717, 0.585, 0.265)
O (0.321, 0.055, 0.024)
P (0.108, 0.391, 0.332)
O (0.179, 0.055, 0.524)
H (0.311, 0.535, 0.462)
K (0.781, 0.246, 0.333)
O (0.729, 0.951, 0.706)
O (0.421, 0.874, 0.853)
H (0.811, 0.465, 0.038)
P (0.608, 0.609, 0.168)
Gd (0.613, 0.748, 0.826)
O (0.507, 0.492, 0.784)
O (0.541, 0.774, 0.593)
H (0.593, 0.848, 0.536)
O (0.229, 0.049, 0.794)
H (0.517, 0.290, 0.463)
H (0.983, 0.290, 0.963)
H (0.075, 0.570, 0.869)
O (0.561, 0.807, 0.172)
O (0.271, 0.049, 0.294)
O (0.439, 0.193, 0.828)
H (0.925, 0.430, 0.131)
O (0.283, 0.415, 0.735)
Gd (0.387, 0.252, 0.174)
H (0.017, 0.710, 0.037)
O (0.959, 0.774, 0.093)
H (0.575, 0.430, 0.631)
O (0.876, 0.380, 0.061)
P (0.652, 0.966, 0.122)
K (0.281, 0.754, 0.167)
P (0.348, 0.034, 0.878)
O (0.771, 0.951, 0.206)
O (0.061, 0.193, 0.328)
O (0.459, 0.226, 0.407)
O (0.007, 0.508, 0.716)
O (0.783, 0.585, 0.765)
H (0.689, 0.465, 0.538)
K (0.719, 0.246, 0.833)
O (0.376, 0.620, 0.439)
O (0.921, 0.126, 0.647)
O (0.821, 0.945, 0.476)
O (0.353, 0.420, 0.973)
O (0.124, 0.620, 0.939)
O (0.624, 0.380, 0.561)
O (0.579, 0.126, 0.147)
O (0.853, 0.580, 0.527)
H (0.907, 0.848, 0.036)
O (0.939, 0.807, 0.672)
O (0.679, 0.945, 0.976)

Calculated values
The calculation puts the energy above the most stable polymorph in this dataset at 0 meV/atom. As for the volume: 861.5 Å³/cell. The total magnetization comes out at 7.000 μB/f.u. As for the space group: No. 14. For the calculated density, the calculation gives 3.1 g/cm3.



[14]
Ba3CaTi3O8 | PBE | optimized geometry

Cell: 5.876 5.875 8.714 Å, 105.54 74.48 120.37°
Fractional coordinates of all 15 atoms:
O (0.475, 0.019, 0.989)
O (0.486, 0.514, 0.981)
Ba (0.384, 0.616, 0.738)
O (0.416, 0.098, 0.675)
Ti (0.299, 0.700, 0.140)
O (0.902, 0.584, 0.675)
Ca (0.814, 0.186, 0.469)
O (0.570, 0.913, 0.264)
Ba (0.982, 0.018, 0.010)
O (0.900, 0.099, 0.704)
Ti (0.692, 0.308, 0.854)
O (0.980, 0.525, 0.989)
O (0.088, 0.430, 0.265)
Ba (0.584, 0.416, 0.248)
Ti (0.088, 0.911, 0.600)

Calculated values
The calculation puts the energy above the most stable polymorph in this dataset at 0 meV/atom. As for the volume: 246.9 Å³/cell. The total magnetization comes out at 0.026 μB/f.u. As for the space group: No. 8. For the calculated density, the calculation gives 4.9 g/cm3.



[15]
K2NaTbCl6 | PBE | optimized geometry

Cell: 7.602 7.602 7.602 Å, 60.00 60.00 60.00°
Fractional coordinates of all 10 atoms:
Cl (0.755, 0.245, 0.245)
Na (0.500, 0.500, 0.500)
Cl (0.755, 0.755, 0.245)
Tb (0.000, 0.000, 0.000)
Cl (0.755, 0.245, 0.755)
K (0.750, 0.750, 0.750)
Cl (0.245, 0.245, 0.755)
K (0.250, 0.250, 0.250)
Cl (0.245, 0.755, 0.755)
Cl (0.245, 0.755, 0.245)

Calculated values
For the calculated total energy, the calculation gives -3.98 eV per atom. As for the volume: 310.7 Å³/cell. The total magnetization comes out at 0.005 μB/f.u. As for the space group: No. 225. For the calculated density, the calculation gives 2.5 g/cm3.